# 1
{
  "formula": "RbPNO2",
  "functional": "PBE-GGA",
  "state": "relaxed",
  "cell": [[6.517, 3.763, 3.815], [-6.517, 3.763, 3.815], [0.000, -7.526, 3.815]],
  "species": ["Rb", "Rb", "Rb", "Rb", "Rb", "Rb", "P", "P", "P", "P", "P", "P", "N", "N", "N", "N", "N", "N", "O", "O", "O", "O", "O", "O", "O", "O", "O", "O", "O", "O"],
  "fractional_positions": [[0.161, 0.688, 0.353], [0.312, 0.647, 0.839], [0.353, 0.161, 0.688], [0.647, 0.839, 0.312], [0.688, 0.353, 0.161], [0.839, 0.312, 0.647], [0.058, 0.216, 0.318], [0.216, 0.318, 0.058], [0.318, 0.058, 0.216], [0.682, 0.942, 0.784], [0.784, 0.682, 0.942], [0.942, 0.784, 0.682], [0.070, 0.313, 0.165], [0.165, 0.070, 0.313], [0.313, 0.165, 0.070], [0.687, 0.835, 0.930], [0.835, 0.930, 0.687], [0.930, 0.687, 0.835], [0.124, 0.862, 0.695], [0.138, 0.305, 0.876], [0.145, 0.351, 0.477], [0.305, 0.876, 0.138], [0.351, 0.477, 0.145], [0.477, 0.145, 0.351], [0.523, 0.855, 0.649], [0.649, 0.523, 0.855], [0.695, 0.124, 0.862], [0.855, 0.649, 0.523], [0.862, 0.695, 0.124], [0.876, 0.138, 0.305]],
  "ef_ev_per_fu": -8.46,
  "spacegroup": "No. 148"
}

# 2
{
  "formula": "CeSe2",
  "functional": "PBE-GGA",
  "state": "relaxed",
  "cell": [[0.000, 14.882, 15.197], [11.334, 0.000, 15.197], [11.334, 14.882, 0.000]],
  "species": ["Ce", "Ce", "Ce", "Ce", "Ce", "Ce", "Ce", "Ce", "Ce", "Ce", "Ce", "Ce", "Ce", "Ce", "Ce", "Ce", "Ce", "Ce", "Se", "Se", "Se", "Se", "Se", "Se", "Se", "Se", "Se", "Se", "Se", "Se", "Se", "Se", "Se", "Se", "Se", "Se", "Se", "Se", "Se", "Se", "Se", "Se", "Se", "Se", "Se", "Se", "Se", "Se", "Se", "Se", "Se", "Se", "Se", "Se"],
  "fractional_positions": [[0.074, 0.297, 0.926], [0.074, 0.548, 0.677], [0.216, 0.606, 0.784], [0.250, 0.250, 0.250], [0.297, 0.074, 0.703], [0.299, 0.323, 0.452], [0.323, 0.299, 0.926], [0.394, 0.784, 0.606], [0.452, 0.926, 0.299], [0.548, 0.074, 0.701], [0.606, 0.216, 0.394], [0.677, 0.701, 0.074], [0.701, 0.677, 0.548], [0.703, 0.926, 0.297], [0.750, 0.750, 0.750], [0.784, 0.394, 0.216], [0.926, 0.452, 0.323], [0.926, 0.703, 0.074], [0.035, 0.437, 0.816], [0.073, 0.691, 0.927], [0.077, 0.314, 0.320], [0.154, 0.154, 0.846], [0.169, 0.475, 0.525], [0.170, 0.599, 0.678], [0.184, 0.288, 0.965], [0.288, 0.184, 0.563], [0.289, 0.320, 0.314], [0.309, 0.927, 0.691], [0.311, 0.689, 0.689], [0.314, 0.077, 0.289], [0.320, 0.289, 0.077], [0.322, 0.447, 0.830], [0.401, 0.830, 0.447], [0.437, 0.035, 0.712], [0.447, 0.322, 0.401], [0.475, 0.169, 0.831], [0.525, 0.831, 0.169], [0.553, 0.678, 0.599], [0.563, 0.965, 0.288], [0.599, 0.170, 0.553], [0.678, 0.553, 0.170], [0.680, 0.711, 0.923], [0.686, 0.923, 0.711], [0.689, 0.311, 0.311], [0.691, 0.073, 0.309], [0.711, 0.680, 0.686], [0.712, 0.816, 0.437], [0.816, 0.712, 0.035], [0.830, 0.401, 0.322], [0.831, 0.525, 0.475], [0.846, 0.846, 0.154], [0.923, 0.686, 0.680], [0.927, 0.309, 0.073], [0.965, 0.563, 0.184]],
  "ef_ev_per_fu": -4.19,
  "spacegroup": "No. 69"
}

Which formula does entry 2 have? CeSe2